No. 1
# Ho2SnAu2 | the Materials Project database | GGA-PBE | relaxed
data_Ho2SnAu2
_space_group_name_H-M_alt 'P 42/m n m'
_space_group_IT_number 136
_space_group_name_Hall '-P 4n 2n'
_cell_length_a 7.923
_cell_length_b 7.923
_cell_length_c 7.486
_cell_angle_alpha 90.00
_cell_angle_beta 90.00
_cell_angle_gamma 90.00
loop_
_atom_site_label
_atom_site_fract_x
_atom_site_fract_y
_atom_site_fract_z
Ho1 0.157 0.157 0.000
Ho2 0.184 0.184 0.500
Sn1 0.000 0.500 0.250
Au1 0.128 0.872 0.278
# Total magnetic moment = 0.000 μB per atom
# ΔH_f (0 K) = -4.19 eV per formula unit
# Total DFT energy (no corrections) = -95.67 eV for the cell shown

No. 2
# Ho2SnAu2 | the Materials Project database | GGA-PBE | relaxed
data_Ho2SnAu2
_space_group_name_H-M_alt 'P 4/m b m'
_space_group_IT_number 127
_space_group_name_Hall '-P 4 2ab'
_cell_length_a 8.348
_cell_length_b 8.348
_cell_length_c 3.558
_cell_angle_alpha 90.00
_cell_angle_beta 90.00
_cell_angle_gamma 90.00
loop_
_atom_site_label
_atom_site_fract_x
_atom_site_fract_y
_atom_site_fract_z
Ho1 0.163 0.337 0.000
Sn1 0.000 0.000 0.000
Au1 0.129 0.629 0.500
# Total magnetic moment = 0.001 μB per atom
# ΔH_f (0 K) = -3.08 eV per formula unit
# Total DFT energy (no corrections) = -45.61 eV for the cell shown

No. 3
# AuI2 | the Materials Project database | GGA-PBE | relaxed
data_AuI2
_space_group_name_H-M_alt 'P 42/m m c'
_space_group_IT_number 131
_space_group_name_Hall '-P 4c 2'
_cell_length_a 4.188
_cell_length_b 4.188
_cell_length_c 15.641
_cell_angle_alpha 90.00
_cell_angle_beta 90.00
_cell_angle_gamma 90.00
loop_
_atom_site_label
_atom_site_fract_x
_atom_site_fract_y
_atom_site_fract_z
Au1 0.000 0.000 0.250
I1 0.000 0.500 0.137
# ΔH_f (0 K) = -0.62 eV per formula unit
# Total DFT energy (no corrections) = -12.36 eV for the cell shown

No. 4
# K2InAuI6 | the Materials Project database | GGA-PBE | relaxed
data_K2InAuI6
_space_group_name_H-M_alt 'F m -3 m'
_space_group_IT_number 225
_space_group_name_Hall '-F 4 2 3'
_cell_length_a 11.885
_cell_length_b 11.885
_cell_length_c 11.885
_cell_angle_alpha 90.00
_cell_angle_beta 90.00
_cell_angle_gamma 90.00
loop_
_atom_site_label
_atom_site_fract_x
_atom_site_fract_y
_atom_site_fract_z
K1 0.250 0.250 0.250
In1 0.000 0.000 0.000
Au1 0.000 0.000 0.500
I1 0.000 0.000 0.252
# Total magnetic moment = 0.000 μB per atom
# ΔH_f (0 K) = -9.42 eV per formula unit
# Total DFT energy (no corrections) = -98.14 eV for the cell shown

No. 5
# KAuI4 | the Materials Project database | GGA-PBE | relaxed
data_KAuI4
_space_group_name_H-M_alt 'P 1 21/c 1'
_space_group_IT_number 14
_cell_length_a 10.346
_cell_length_b 7.155
_cell_length_c 14.256
_cell_angle_alpha 90.00
_cell_angle_beta 101.62
_cell_angle_gamma 90.00
loop_
_space_group_symop_operation_xyz
'x,y,z'
'-x,-y,-z'
'-x,y+1/2,-z+1/2'
'x,-y+1/2,z+1/2'
loop_
_atom_site_label
_atom_site_fract_x
_atom_site_fract_y
_atom_site_fract_z
K1 0.202 0.064 0.183
Au1 0.000 0.000 0.500
Au2 0.500 0.000 0.500
I1 0.087 0.566 0.188
I2 0.142 0.706 0.459
I3 0.345 0.223 0.916
I4 0.499 0.654 0.829
# ΔH_f (0 K) = -4.83 eV per formula unit
# Total DFT energy (no corrections) = -55.19 eV for the cell shown

No. 6
# K6NaAu2IO8 | the Materials Project database | GGA-PBE | relaxed
data_K6NaAu2IO8
_space_group_name_H-M_alt 'P 1 2/c 1'
_space_group_IT_number 13
_cell_length_a 7.177
_cell_length_b 9.978
_cell_length_c 12.147
_cell_angle_alpha 90.00
_cell_angle_beta 122.90
_cell_angle_gamma 90.00
loop_
_space_group_symop_operation_xyz
'x,y,z'
'-x,-y,-z'
'-x,y,-z+1/2'
'x,-y,z+1/2'
loop_
_atom_site_label
_atom_site_fract_x
_atom_site_fract_y
_atom_site_fract_z
K1 0.000 0.143 0.250
K2 0.012 0.161 0.911
K3 0.473 0.316 0.588
K4 0.500 0.343 0.250
Na1 0.500 0.006 0.250
Au1 0.000 0.457 0.750
Au2 0.000 0.500 0.000
I1 0.500 0.000 0.000
O1 0.217 0.447 0.690
O2 0.263 0.072 0.513
O3 0.289 0.080 0.834
O4 0.499 0.160 0.409
# ΔH_f (0 K) = -26.04 eV per formula unit
# Total DFT energy (no corrections) = -152.36 eV for the cell shown

No. 7
# K2SbAuI6 | the Materials Project database | GGA-PBE | relaxed
data_K2SbAuI6
_space_group_name_H-M_alt 'F m -3 m'
_space_group_IT_number 225
_space_group_name_Hall '-F 4 2 3'
_cell_length_a 11.972
_cell_length_b 11.972
_cell_length_c 11.972
_cell_angle_alpha 90.00
_cell_angle_beta 90.00
_cell_angle_gamma 90.00
loop_
_atom_site_label
_atom_site_fract_x
_atom_site_fract_y
_atom_site_fract_z
K1 0.250 0.250 0.250
Sb1 0.000 0.000 0.000
Au1 0.000 0.000 0.500
I1 0.000 0.000 0.253
# Total magnetic moment = 0.000 μB per atom
# ΔH_f (0 K) = -8.98 eV per formula unit
# Total DFT energy (no corrections) = -101.91 eV for the cell shown

No. 8
# K2ScAuI6 | the Materials Project database | GGA-PBE | relaxed
data_K2ScAuI6
_space_group_name_H-M_alt 'F m -3 m'
_space_group_IT_number 225
_space_group_name_Hall '-F 4 2 3'
_cell_length_a 11.813
_cell_length_b 11.813
_cell_length_c 11.813
_cell_angle_alpha 90.00
_cell_angle_beta 90.00
_cell_angle_gamma 90.00
loop_
_atom_site_label
_atom_site_fract_x
_atom_site_fract_y
_atom_site_fract_z
K1 0.250 0.250 0.250
Sc1 0.000 0.000 0.000
Au1 0.000 0.000 0.500
I1 0.000 0.000 0.246
# Total magnetic moment = 0.000 μB per atom
# ΔH_f (0 K) = -12.13 eV per formula unit
# Total DFT energy (no corrections) = -123.32 eV for the cell shown

No. 9
# K2YAuI6 | the Materials Project database | GGA-PBE | relaxed
data_K2YAuI6
_space_group_name_H-M_alt 'F m -3 m'
_space_group_IT_number 225
_space_group_name_Hall '-F 4 2 3'
_cell_length_a 12.070
_cell_length_b 12.070
_cell_length_c 12.070
_cell_angle_alpha 90.00
_cell_angle_beta 90.00
_cell_angle_gamma 90.00
loop_
_atom_site_label
_atom_site_fract_x
_atom_site_fract_y
_atom_site_fract_z
K1 0.250 0.250 0.250
Y1 0.000 0.000 0.000
Au1 0.000 0.000 0.500
I1 0.000 0.000 0.251
# Total magnetic moment = 0.000 μB per atom
# ΔH_f (0 K) = -12.77 eV per formula unit
# Total DFT energy (no corrections) = -126.39 eV for the cell shown

No. 10
# Au3I8N3 | the Materials Project database | GGA-PBE | relaxed
data_Au3I8N3
_space_group_name_H-M_alt 'C 1 2/c 1'
_space_group_IT_number 15
_cell_length_a 13.476
_cell_length_b 8.950
_cell_length_c 19.290
_cell_angle_alpha 90.00
_cell_angle_beta 105.26
_cell_angle_gamma 90.00
loop_
_space_group_symop_operation_xyz
'x,y,z'
'-x,-y,-z'
'-x,y,-z+1/2'
'x,-y,z+1/2'
'x+1/2,y+1/2,z'
'-x+1/2,-y+1/2,-z'
'-x+1/2,y+1/2,-z+1/2'
'x+1/2,-y+1/2,z+1/2'
loop_
_atom_site_label
_atom_site_fract_x
_atom_site_fract_y
_atom_site_fract_z
Au1 0.057 0.248 0.199
Au2 0.250 0.250 0.000
I1 0.083 0.052 0.363
I2 0.095 0.320 0.064
I3 0.125 0.454 0.920
I4 0.188 0.454 0.266
N1 0.000 0.255 0.750
N2 0.163 0.263 0.590
# Total magnetic moment = 0.640 μB per atom
# ΔH_f (0 K) = 14.50 eV per formula unit
# Total DFT energy (no corrections) = -125.76 eV for the cell shown

No. 11
# AuI5N | the Materials Project database | GGA-PBE | relaxed
data_AuI5N
_space_group_name_H-M_alt 'P n m a'
_space_group_IT_number 62
_cell_length_a 13.534
_cell_length_b 21.644
_cell_length_c 7.435
_cell_angle_alpha 90.00
_cell_angle_beta 90.00
_cell_angle_gamma 90.00
loop_
_space_group_symop_operation_xyz
'x,y,z'
'-x,-y,-z'
'-x+1/2,-y,z+1/2'
'x+1/2,y,-z+1/2'
'x+1/2,-y+1/2,-z+1/2'
'-x+1/2,y+1/2,z+1/2'
'-x,y+1/2,-z'
'x,-y+1/2,z'
loop_
_atom_site_label
_atom_site_fract_x
_atom_site_fract_y
_atom_site_fract_z
Au1 0.000 0.000 0.000
Au2 0.083 0.250 0.262
I1 0.022 0.750 0.439
I2 0.067 0.056 0.702
I3 0.086 0.129 0.262
I4 0.167 0.686 0.048
I5 0.186 0.250 0.959
I6 0.187 0.534 0.088
N1 0.169 0.612 0.528
# Total magnetic moment = 0.002 μB per atom
# ΔH_f (0 K) = 6.49 eV per formula unit
# Total DFT energy (no corrections) = -99.02 eV for the cell shown

No. 12
# RbAuI4O12 | the Materials Project database | GGA-PBE | relaxed
data_RbAuI4O12
_space_group_name_H-M_alt 'C 1 2 1'
_space_group_IT_number 5
_cell_length_a 13.921
_cell_length_b 5.738
_cell_length_c 8.586
_cell_angle_alpha 90.00
_cell_angle_beta 109.08
_cell_angle_gamma 90.00
loop_
_space_group_symop_operation_xyz
'x,y,z'
'-x,y,-z'
'x+1/2,y+1/2,z'
'-x+1/2,y+1/2,-z'
loop_
_atom_site_label
_atom_site_fract_x
_atom_site_fract_y
_atom_site_fract_z
Rb1 0.000 0.000 0.000
Au1 0.000 0.188 0.500
I1 0.151 0.488 0.345
I2 0.180 0.428 0.834
O1 0.028 0.556 0.197
O2 0.099 0.166 0.730
O3 0.118 0.185 0.410
O4 0.149 0.648 0.527
O5 0.199 0.302 0.037
O6 0.203 0.837 0.199
# Total magnetic moment = 0.000 μB per atom
# ΔH_f (0 K) = -16.45 eV per formula unit
# Total DFT energy (no corrections) = -155.86 eV for the cell shown